# Na7W9O27 (r2SCAN, relaxed)
data_Na7W9O27
_symmetry_space_group_name_H-M 'P 1'
_symmetry_Int_Tables_number 1
_symmetry_space_group_name_Hall 'P 1'
_cell_length_a 6.6945
_cell_length_b 8.6398
_cell_length_c 9.4677
_cell_angle_alpha 100.50
_cell_angle_beta 90.02
_cell_angle_gamma 104.95
loop_
_atom_site_label
_atom_site_type_symbol
_atom_site_fract_x
_atom_site_fract_y
_atom_site_fract_z
O1 O 0.1150 0.3331 0.0576
O2 O 0.0581 0.1650 0.7772
O3 O 0.2222 0.6668 0.6112
O4 O 0.6657 0.9966 0.8329
O5 O 0.9444 0.8330 0.7222
O6 O 0.1663 0.5004 0.3337
O7 O 0.7222 0.1667 0.6111
O8 O 0.7782 0.3367 0.3892
O9 O 0.2776 0.8330 0.8888
O10 O 0.8339 0.5016 0.1691
O11 O 0.4406 0.3328 0.7202
O12 O 0.5541 0.6628 0.2774
O13 O 0.1704 0.5017 0.8331
O14 O 0.8901 0.6703 0.9450
O15 O 0.0037 0.0004 0.5021
O16 O 0.3856 0.1650 0.9448
O17 O 0.4996 0.5002 0.5002
O18 O 0.0587 0.1684 0.2777
O19 O 0.2740 0.8316 0.3891
O20 O 0.6101 0.8316 0.0533
O21 O 0.8337 0.5015 0.6646
O22 O 0.6106 0.8319 0.5575
O23 O 0.4974 0.5020 0.0009
O24 O 0.7222 0.1666 0.1111
O25 O 0.3860 0.1682 0.4453
O26 O 0.3293 0.0004 0.1648
O27 O 0.9469 0.8315 0.2214
W1 W 0.7223 0.6667 0.1113
W2 W 0.2783 0.3331 0.8892
W3 W 0.9422 0.3320 0.2211
W4 W 0.0540 0.6649 0.7785
W5 W 0.6113 0.3312 0.5556
W6 W 0.8327 0.0021 0.6666
W7 W 0.5021 0.0013 0.0012
W8 W 0.1659 0.0003 0.3331
W9 W 0.3904 0.6684 0.4437
Na1 Na 0.3367 0.0025 0.6679
Na2 Na 0.8889 0.6691 0.4436
Na3 Na 0.4486 0.3303 0.2204
Na4 Na 0.5579 0.6634 0.7784
Na5 Na 0.1070 0.3305 0.5544
Na6 Na 0.2234 0.6674 0.1107
Na7 Na 0.9972 0.0034 0.0007
# **Final energy**: -747.82 eV per cell

=====

# Na2W4O13 (r2SCAN, relaxed)
data_Na2W4O13
_symmetry_space_group_name_H-M 'P 1'
_symmetry_Int_Tables_number 1
_symmetry_space_group_name_Hall 'P 1'
_cell_length_a 3.8519
_cell_length_b 8.3307
_cell_length_c 8.4198
_cell_angle_alpha 95.66
_cell_angle_beta 103.09
_cell_angle_gamma 90.41
loop_
_atom_site_label
_atom_site_type_symbol
_atom_site_fract_x
_atom_site_fract_y
_atom_site_fract_z
Na1 Na 0.7114 0.6882 0.4226
Na2 Na 0.2886 0.3118 0.5774
O1 O 0.4348 0.6432 0.8420
O2 O 0.3908 0.0106 0.8130
O3 O 0.5652 0.3568 0.1580
O4 O 0.9980 0.8449 0.9956
O5 O 0.1551 0.1896 0.3101
O6 O 0.0020 0.1551 0.0044
O7 O 0.8449 0.8104 0.6899
O8 O 0.8368 0.4891 0.6527
O9 O 0.0000 0.5000 0.0000
O10 O 0.8167 0.1542 0.6500
O11 O 0.6092 0.9894 0.1870
O12 O 0.1632 0.5109 0.3473
O13 O 0.1833 0.8458 0.3500
W1 W 0.9600 0.6321 0.8249
W2 W 0.8521 0.0241 0.8031
W3 W 0.1479 0.9759 0.1969
W4 W 0.0400 0.3679 0.1751
# **Final energy**: -334.09 eV per cell

=====

# Na5W14O42 (r2SCAN, relaxed)
data_Na5W14O42
_symmetry_space_group_name_H-M 'P 1'
_symmetry_Int_Tables_number 1
_symmetry_space_group_name_Hall 'P 1'
_cell_length_a 7.6640
_cell_length_b 19.5367
_cell_length_c 5.4185
_cell_angle_alpha 97.97
_cell_angle_beta 90.01
_cell_angle_gamma 78.68
loop_
_atom_site_label
_atom_site_type_symbol
_atom_site_fract_x
_atom_site_fract_y
_atom_site_fract_z
O1 O 0.6430 0.2144 0.3555
O2 O 0.6433 0.7143 0.3553
O3 O 0.2835 0.9281 0.7117
O4 O 0.7896 0.9276 0.2155
O5 O 0.4975 0.5003 0.0000
O6 O 0.7870 0.4273 0.2124
O7 O 0.2170 0.0724 0.7817
O8 O 0.8576 0.7854 0.1409
O9 O 0.0031 0.5007 0.4967
O10 O 0.0034 0.5007 0.0015
O11 O 0.7890 0.9279 0.7108
O12 O 0.4997 0.0012 0.4989
O13 O 0.2834 0.9274 0.2162
O14 O 0.2170 0.0718 0.2857
O15 O 0.3584 0.2843 0.6411
O16 O 0.7142 0.5728 0.7854
O17 O 0.4286 0.1429 0.0705
O18 O 0.7113 0.0722 0.2871
O19 O 0.8578 0.2854 0.6417
O20 O 0.4294 0.6433 0.5718
O21 O 0.4973 0.5011 0.4957
O22 O 0.9292 0.6427 0.0707
O23 O 0.0009 0.9988 0.4986
O24 O 0.2859 0.4296 0.2138
O25 O 0.0695 0.3565 0.9287
O26 O 0.4292 0.6424 0.0718
O27 O 0.3576 0.7860 0.6402
O28 O 0.1431 0.2144 0.8569
O29 O 0.5757 0.3560 0.9302
O30 O 0.1435 0.2140 0.3566
O31 O 0.8572 0.7858 0.6408
O32 O 0.7110 0.0722 0.7826
O33 O 0.6430 0.2141 0.8554
O34 O 0.1434 0.7142 0.3562
O35 O 0.5754 0.3566 0.4261
O36 O 0.9287 0.6430 0.5705
O37 O 0.9278 0.1443 0.0707
O38 O 0.0718 0.8569 0.9269
O39 O 0.5724 0.8557 0.9271
O40 O 0.3578 0.7851 0.1401
O41 O 0.0694 0.3561 0.4242
O42 O 0.2148 0.5716 0.7839
Na1 Na 0.2150 0.5710 0.2860
Na2 Na 0.6429 0.7145 0.8574
Na3 Na 0.8580 0.2852 0.1420
Na4 Na 0.4286 0.1430 0.5685
Na5 Na 0.0706 0.8579 0.4289
W1 W 0.3933 0.7142 0.3560
W2 W 0.0367 0.4281 0.2128
W3 W 0.4669 0.5697 0.7839
W4 W 0.8195 0.8588 0.9280
W5 W 0.1772 0.1419 0.0698
W6 W 0.6796 0.1420 0.0698
W7 W 0.9645 0.5696 0.7838
W8 W 0.5367 0.4281 0.2130
W9 W 0.6063 0.2865 0.6422
W10 W 0.1088 0.2865 0.6422
W11 W 0.2507 0.0003 0.4990
W12 W 0.8935 0.7142 0.3558
W13 W 0.7506 0.0004 0.4990
W14 W 0.3219 0.8588 0.9282
# **Final energy**: -1128.94 eV per cell

=====

# Na2Zn2O3 (r2SCAN, relaxed)
data_Na2Zn2O3
_symmetry_space_group_name_H-M 'P 1'
_symmetry_Int_Tables_number 1
_symmetry_space_group_name_Hall 'P 1'
_cell_length_a 6.1572
_cell_length_b 6.1572
_cell_length_c 9.3432
_cell_angle_alpha 90.00
_cell_angle_beta 90.00
_cell_angle_gamma 90.00
loop_
_atom_site_label
_atom_site_type_symbol
_atom_site_fract_x
_atom_site_fract_y
_atom_site_fract_z
Na1 Na 0.2467 0.9663 0.6031
Na2 Na 0.7467 0.5337 0.6469
Na3 Na 0.7533 0.0337 0.1031
Na4 Na 0.9663 0.2467 0.3969
Na5 Na 0.0337 0.7533 0.8969
Na6 Na 0.5337 0.7467 0.3531
Na7 Na 0.2533 0.4663 0.1469
Na8 Na 0.4663 0.2533 0.8531
Zn1 Zn 0.9569 0.2447 0.8643
Zn2 Zn 0.7447 0.5431 0.1143
Zn3 Zn 0.2447 0.9569 0.1357
Zn4 Zn 0.5431 0.7447 0.8857
Zn5 Zn 0.0431 0.7553 0.3643
Zn6 Zn 0.2553 0.4569 0.6143
Zn7 Zn 0.7553 0.0431 0.6357
Zn8 Zn 0.4569 0.2553 0.3857
O1 O 0.3207 0.6793 0.7500
O2 O 0.0134 0.2570 0.6553
O3 O 0.6793 0.3207 0.2500
O4 O 0.8207 0.8207 0.5000
O5 O 0.2430 0.5134 0.4053
O6 O 0.1793 0.1793 0.0000
O7 O 0.7570 0.4866 0.9053
O8 O 0.9866 0.7430 0.1553
O9 O 0.7430 0.9866 0.8447
O10 O 0.2570 0.0134 0.3447
O11 O 0.4866 0.7570 0.0947
O12 O 0.5134 0.2430 0.5947
# **Final energy**: -216.35 eV per cell

=====

# Na2Zn2O3 (r2SCAN, relaxed)
data_Na2Zn2O3
_symmetry_space_group_name_H-M 'P 1'
_symmetry_Int_Tables_number 1
_symmetry_space_group_name_Hall 'P 1'
_cell_length_a 5.7855
_cell_length_b 5.9263
_cell_length_c 5.8774
_cell_angle_alpha 90.00
_cell_angle_beta 90.00
_cell_angle_gamma 118.24
loop_
_atom_site_label
_atom_site_type_symbol
_atom_site_fract_x
_atom_site_fract_y
_atom_site_fract_z
O1 O 0.3558 0.7433 0.0869
O2 O 0.0000 0.5000 0.5000
O3 O 0.3558 0.2433 0.4131
O4 O 0.0000 0.0000 0.0000
O5 O 0.6442 0.2567 0.9131
O6 O 0.6442 0.7567 0.5869
Na1 Na 0.1360 0.4020 0.8435
Na2 Na 0.8640 0.0980 0.3435
Na3 Na 0.8640 0.5980 0.1565
Na4 Na 0.1360 0.9020 0.6565
Zn1 Zn 0.3411 0.0790 0.1230
Zn2 Zn 0.6589 0.9210 0.8770
Zn3 Zn 0.6589 0.4210 0.6230
Zn4 Zn 0.3411 0.5790 0.3770
# **Final energy**: -108.08 eV per cell

=====

# NaP15 (r2SCAN, relaxed)
data_NaP15
_symmetry_space_group_name_H-M 'P 1'
_symmetry_Int_Tables_number 1
_symmetry_space_group_name_Hall 'P 1'
_cell_length_a 7.1219
_cell_length_b 9.2100
_cell_length_c 11.7505
_cell_angle_alpha 92.56
_cell_angle_beta 98.99
_cell_angle_gamma 108.29
loop_
_atom_site_label
_atom_site_type_symbol
_atom_site_fract_x
_atom_site_fract_y
_atom_site_fract_z
Na1 Na 0.7901 0.7873 0.0026
Na2 Na 0.2099 0.2127 0.9974
P1 P 0.1096 0.9124 0.8534
P2 P 0.5263 0.9206 0.7281
P3 P 0.4737 0.0794 0.2719
P4 P 0.1139 0.7567 0.2960
P5 P 0.6592 0.1924 0.1458
P6 P 0.3408 0.8076 0.8542
P7 P 0.6614 0.3129 0.5727
P8 P 0.2935 0.8643 0.1685
P9 P 0.6916 0.5450 0.6428
P10 P 0.5074 0.2817 0.8296
P11 P 0.9760 0.0987 0.3317
P12 P 0.7065 0.1357 0.8315
P13 P 0.8904 0.0876 0.1466
P14 P 0.0133 0.3367 0.3977
P15 P 0.3813 0.2361 0.6413
P16 P 0.2056 0.5969 0.7313
P17 P 0.2579 0.4835 0.1691
P18 P 0.7421 0.5165 0.8309
P19 P 0.3073 0.9888 0.6001
P20 P 0.3084 0.4550 0.3572
P21 P 0.4926 0.7183 0.1704
P22 P 0.0240 0.9013 0.6683
P23 P 0.6187 0.7639 0.3587
P24 P 0.7944 0.4031 0.2687
P25 P 0.0139 0.4433 0.8334
P26 P 0.3386 0.6871 0.4273
P27 P 0.8861 0.2433 0.7040
P28 P 0.9861 0.5567 0.1666
P29 P 0.9867 0.6633 0.6023
P30 P 0.6927 0.0112 0.3999
# **Final energy**: -280.26 eV per cell

=====

# NaP7 (r2SCAN, relaxed)
data_NaP7
_symmetry_space_group_name_H-M 'P 1'
_symmetry_Int_Tables_number 1
_symmetry_space_group_name_Hall 'P 1'
_cell_length_a 12.5572
_cell_length_b 12.5572
_cell_length_c 12.5572
_cell_angle_alpha 107.51
_cell_angle_beta 110.46
_cell_angle_gamma 110.46
loop_
_atom_site_label
_atom_site_type_symbol
_atom_site_fract_x
_atom_site_fract_y
_atom_site_fract_z
P1 P 0.2257 0.6250 0.3507
P2 P 0.2606 0.0931 0.2146
P3 P 0.8890 0.8670 0.3429
P4 P 0.4120 0.0392 0.2769
P5 P 0.0242 0.7961 0.4071
P6 P 0.7743 0.1493 0.8750
P7 P 0.3890 0.2961 0.2719
P8 P 0.7606 0.7960 0.4176
P9 P 0.7394 0.9540 0.8324
P10 P 0.4120 0.8728 0.6352
P11 P 0.7743 0.1250 0.3993
P12 P 0.8784 0.5931 0.3324
P13 P 0.5880 0.8648 0.6272
P14 P 0.7377 0.2108 0.1228
P15 P 0.9758 0.3830 0.7719
P16 P 0.7623 0.7231 0.1352
P17 P 0.2377 0.3648 0.7769
P18 P 0.2623 0.3772 0.2892
P19 P 0.1110 0.1571 0.6330
P20 P 0.3784 0.5824 0.3431
P21 P 0.1216 0.1676 0.9069
P22 P 0.4758 0.0219 0.1330
P23 P 0.9120 0.5269 0.7892
P24 P 0.2394 0.6569 0.0354
P25 P 0.8890 0.5219 0.0461
P26 P 0.2623 0.3852 0.4731
P27 P 0.2377 0.3728 0.9608
P28 P 0.0880 0.7108 0.9731
P29 P 0.0242 0.7281 0.1170
P30 P 0.7257 0.6007 0.3750
P31 P 0.5242 0.6571 0.5461
P32 P 0.9120 0.8852 0.6228
P33 P 0.2394 0.0824 0.7040
P34 P 0.5242 0.3670 0.4781
P35 P 0.9758 0.0929 0.7039
P36 P 0.4758 0.9539 0.8429
P37 P 0.7257 0.6250 0.8507
P38 P 0.2606 0.6676 0.5460
P39 P 0.2743 0.1250 0.8993
P40 P 0.6216 0.9646 0.2040
P41 P 0.7394 0.2854 0.4069
P42 P 0.6216 0.1569 0.9176
P43 P 0.1216 0.4540 0.7146
P44 P 0.6110 0.2281 0.2039
P45 P 0.1110 0.4539 0.9781
P46 P 0.2257 0.1007 0.3750
P47 P 0.7623 0.5392 0.1272
P48 P 0.0880 0.8772 0.6148
P49 P 0.3890 0.5929 0.6170
P50 P 0.6110 0.8830 0.9071
P51 P 0.7377 0.0269 0.1148
P52 P 0.3784 0.2960 0.5354
P53 P 0.7606 0.4646 0.8431
P54 P 0.8784 0.7854 0.0460
P55 P 0.2743 0.6493 0.8750
P56 P 0.5880 0.2231 0.4608
Na1 Na 0.0000 0.3658 0.1342
Na2 Na 0.2317 0.8658 0.8658
Na3 Na 0.5000 0.6158 0.8842
Na4 Na 0.7317 0.1158 0.6158
Na5 Na 0.0000 0.1342 0.3658
Na6 Na 0.7683 0.6342 0.6342
Na7 Na 0.2683 0.8842 0.3842
Na8 Na 0.5000 0.3842 0.1158
# **Final energy**: -544.85 eV per cell

=====

# Na3PS4 (r2SCAN, relaxed)
data_Na3PS4
_symmetry_space_group_name_H-M 'P 1'
_symmetry_Int_Tables_number 1
_symmetry_space_group_name_Hall 'P 1'
_cell_length_a 6.9237
_cell_length_b 6.9237
_cell_length_c 7.0771
_cell_angle_alpha 90.00
_cell_angle_beta 90.00
_cell_angle_gamma 90.00
loop_
_atom_site_label
_atom_site_type_symbol
_atom_site_fract_x
_atom_site_fract_y
_atom_site_fract_z
S1 S 0.6515 0.3098 0.8341
S2 S 0.3485 0.6902 0.8341
S3 S 0.3098 0.3485 0.1659
S4 S 0.8098 0.1515 0.3341
S5 S 0.6902 0.6515 0.1659
S6 S 0.1515 0.1902 0.6659
S7 S 0.1902 0.8485 0.3341
S8 S 0.8485 0.8098 0.6659
Na1 Na 0.5000 0.0000 0.0803
Na2 Na 0.0000 0.5000 0.9197
Na3 Na 0.5000 0.5000 0.5000
Na4 Na 0.0000 0.0000 0.0000
Na5 Na 0.0000 0.5000 0.4197
Na6 Na 0.5000 0.0000 0.5803
P1 P 0.5000 0.5000 0.0000
P2 P 0.0000 0.0000 0.5000
# **Final energy**: -120.47 eV per cell

=====

| no. | calculated formation energy (eV per atom) |
| --- | --- |
| 1 | -2.3093 |
| 2 | -2.3077 |
| 3 | -2.3134 |
| 4 | -1.6029 |
| 5 | -1.5960 |
| 6 | -0.0960 |
| 7 | -0.1909 |
| 8 | -1.0505 |